{"formula": "Rb2VAgS4", "functional": "GGA-PBE", "state": "relaxed", "energy_mp2020_ev_per_atom": -5.011, "space_group": "Fddd, No. 70", "ef_ev_per_atom": -1.2083, "final_energy_ev_per_atom": -4.760, "magnetic_moment_mub_per_cell": 0.00, "lattice_angstrom": [[0.000, 6.870, 11.866], [2.925, 0.000, 11.866], [2.925, 6.870, 0.000]], "species": ["S", "S", "Rb", "V", "S", "S", "Rb", "S", "S", "Ag", "Ag", "S", "S", "Rb", "V", "Rb"], "fractional_positions": [[0.494, 0.898, 0.197], [0.756, 0.352, 0.053], [0.429, 0.429, 0.071], [0.000, 0.000, 0.000], [0.898, 0.494, 0.412], [0.352, 0.756, 0.838], [0.821, 0.821, 0.179], [0.197, 0.412, 0.494], [0.412, 0.197, 0.898], [0.750, 0.750, 0.750], [0.500, 0.500, 0.500], [0.053, 0.838, 0.756], [0.838, 0.053, 0.352], [0.071, 0.071, 0.429], [0.250, 0.250, 0.250], [0.179, 0.179, 0.821]]}

---

{"formula": "Na2Sc6Nb2Si3S9O48", "functional": "GGA-PBE", "state": "relaxed", "energy_mp2020_ev_per_atom": -7.690, "space_group": "P1, No. 1", "ef_ev_per_atom": -2.6634, "final_energy_ev_per_atom": -7.219, "magnetic_moment_mub_per_cell": 0.00, "lattice_angstrom": [[-3.614, 6.092, -16.296], [-6.267, -4.220, 4.669], [-6.844, 20.128, 9.073]], "species": ["S", "O", "O", "Sc", "Sc", "S", "O", "Si", "O", "O", "Sc", "O", "O", "O", "O", "O", "O", "O", "S", "O", "O", "S", "O", "O", "O", "O", "O", "O", "O", "O", "Si", "S", "O", "O", "O", "Si", "Na", "Si", "O", "O", "S", "Si", "O", "O", "O", "O", "O", "O", "Sc", "O", "S", "O", "O", "S", "O", "Sc", "O", "O", "O", "O", "O", "O", "Sc", "O", "Sc", "Sc", "O", "Sc", "O", "S", "S", "O", "O", "Sc", "O", "S", "O", "O", "Sc", "O", "O", "S", "O", "O", "Sc", "S", "S", "O", "O", "Na", "O", "O", "O", "Si", "O", "O", "Nb", "O", "O", "O", "O", "O", "O", "S", "O", "S", "O", "O", "O", "O", "O", "O", "O", "O", "O", "Si", "O", "S", "O", "O", "O", "O", "O", "O", "Sc", "S", "Sc", "S", "Na", "O", "O", "O", "Si", "O", "O", "O", "Si", "S", "Nb", "S", "Na", "Nb", "O", "O", "O", "Sc", "O", "S", "O", "O", "O", "O", "O", "O", "O", "O", "O", "S", "O", "O", "O", "Nb", "Sc", "O", "O", "O", "O", "O", "O", "O", "O", "O", "O", "O", "S", "O", "O", "O", "O", "O", "Sc", "S", "O", "O", "O", "O", "Nb", "O", "O", "O", "O", "O", "Sc", "O", "O", "Na", "S", "O", "Na", "O", "O", "Nb", "O", "O", "O", "S", "O", "O", "O", "O"], "fractional_positions": [[0.145, 0.286, 0.751], [0.912, 0.806, 0.589], [0.513, 0.183, 0.914], [0.830, 0.318, 0.185], [0.501, 0.008, 0.151], [0.500, 0.713, 0.750], [0.437, 0.359, 0.636], [0.308, 0.962, 0.415], [0.255, 0.867, 0.073], [0.603, 0.178, 0.802], [0.000, 0.991, 0.650], [0.574, 0.695, 0.467], [0.412, 0.305, 0.246], [0.316, 0.503, 0.640], [0.230, 0.160, 0.241], [0.066, 0.489, 0.865], [0.743, 0.353, 0.420], [0.178, 0.867, 0.576], [0.811, 0.956, 0.416], [0.565, 0.481, 0.575], [0.818, 0.129, 0.141], [0.189, 0.334, 0.084], [0.155, 0.462, 0.469], [0.900, 0.978, 0.409], [0.423, 0.543, 0.031], [0.747, 0.849, 0.071], [0.740, 0.361, 0.135], [0.915, 0.015, 0.099], [0.242, 0.361, 0.136], [0.100, 0.176, 0.804], [0.830, 0.044, 0.082], [0.835, 0.627, 0.583], [0.985, 0.176, 0.301], [0.100, 0.023, 0.588], [0.181, 0.877, 0.865], [0.997, 0.700, 0.748], [0.835, 0.347, 0.831], [0.695, 0.050, 0.583], [0.243, 0.357, 0.424], [0.410, 0.019, 0.089], [0.187, 0.045, 0.583], [0.500, 0.293, 0.249], [0.579, 0.703, 0.755], [0.599, 0.175, 0.088], [0.731, 0.167, 0.526], [0.231, 0.298, 0.747], [0.104, 0.030, 0.301], [0.240, 0.119, 0.635], [0.663, 0.651, 0.814], [0.513, 0.198, 0.194], [0.857, 0.712, 0.250], [0.730, 0.304, 0.743], [0.765, 0.692, 0.973], [0.667, 0.378, 0.415], [0.732, 0.164, 0.246], [0.664, 0.663, 0.310], [0.679, 0.484, 0.363], [0.485, 0.794, 0.802], [0.270, 0.692, 0.259], [0.088, 0.977, 0.907], [0.272, 0.846, 0.757], [0.347, 0.158, 0.743], [0.501, 0.013, 0.855], [0.424, 0.352, 0.925], [0.668, 0.678, 0.525], [0.834, 0.334, 0.685], [0.593, 0.975, 0.198], [0.002, 0.990, 0.358], [0.729, 0.309, 0.031], [0.523, 0.669, 0.415], [0.666, 0.954, 0.917], [0.650, 0.456, 0.754], [0.594, 0.024, 0.598], [0.340, 0.334, 0.189], [0.588, 0.197, 0.405], [0.355, 0.710, 0.251], [0.413, 0.796, 0.303], [0.008, 0.192, 0.197], [0.339, 0.336, 0.979], [0.650, 0.449, 0.467], [0.601, 0.025, 0.303], [0.645, 0.002, 0.252], [0.564, 0.643, 0.363], [0.939, 0.519, 0.136], [0.833, 0.332, 0.482], [0.479, 0.627, 0.083], [0.311, 0.666, 0.917], [0.913, 0.025, 0.804], [0.079, 0.455, 0.252], [0.339, 0.336, 0.834], [0.770, 0.847, 0.760], [0.587, 0.968, 0.912], [0.488, 0.175, 0.596], [0.329, 0.616, 0.583], [0.087, 0.205, 0.412], [0.563, 0.494, 0.860], [0.993, 0.982, 0.855], [0.680, 0.877, 0.864], [0.926, 0.303, 0.531], [0.397, 0.816, 0.199], [0.922, 0.307, 0.242], [0.508, 0.821, 0.698], [0.820, 0.130, 0.421], [0.167, 0.380, 0.417], [0.848, 0.539, 0.241], [0.855, 0.000, 0.751], [0.411, 0.031, 0.802], [0.424, 0.294, 0.533], [0.270, 0.691, 0.969], [0.853, 0.165, 0.027], [0.351, 0.538, 0.527], [0.016, 0.204, 0.907], [0.320, 0.121, 0.135], [0.405, 0.970, 0.407], [0.318, 0.507, 0.925], [0.809, 0.656, 0.914], [0.759, 0.872, 0.364], [0.981, 0.333, 0.583], [0.180, 0.482, 0.364], [0.174, 0.482, 0.075], [0.348, 0.537, 0.245], [0.773, 0.701, 0.255], [0.265, 0.837, 0.473], [0.347, 0.151, 0.031], [0.167, 0.666, 0.020], [0.478, 0.333, 0.585], [0.836, 0.331, 0.980], [0.643, 0.286, 0.749], [0.335, 0.325, 0.336], [0.099, 0.175, 0.096], [0.910, 0.514, 0.747], [0.584, 0.477, 0.262], [0.018, 0.659, 0.416], [0.674, 0.852, 0.573], [0.413, 0.813, 0.598], [0.326, 0.156, 0.424], [0.521, 0.375, 0.916], [0.357, 0.004, 0.750], [0.494, 0.006, 0.357], [0.333, 0.041, 0.083], [0.998, 0.993, 0.499], [0.997, 0.002, 0.144], [0.422, 0.537, 0.743], [0.987, 0.813, 0.806], [0.772, 0.848, 0.468], [0.165, 0.668, 0.807], [0.823, 0.524, 0.635], [0.167, 0.957, 0.916], [0.242, 0.134, 0.924], [0.753, 0.640, 0.859], [0.083, 0.685, 0.473], [0.583, 0.479, 0.973], [0.229, 0.149, 0.531], [0.756, 0.641, 0.574], [0.150, 0.845, 0.253], [0.897, 0.979, 0.699], [0.925, 0.557, 0.033], [0.000, 0.287, 0.250], [0.991, 0.179, 0.590], [0.068, 0.489, 0.573], [0.258, 0.642, 0.865], [0.672, 0.663, 0.019], [0.336, 0.341, 0.481], [0.439, 0.519, 0.135], [0.245, 0.641, 0.570], [0.400, 0.982, 0.698], [0.750, 0.136, 0.641], [0.084, 0.693, 0.763], [0.906, 0.842, 0.906], [0.826, 0.498, 0.925], [0.088, 0.982, 0.197], [0.156, 0.460, 0.760], [0.588, 0.196, 0.698], [0.013, 0.829, 0.695], [0.144, 0.002, 0.249], [0.678, 0.489, 0.075], [0.851, 0.550, 0.531], [0.076, 0.457, 0.969], [0.656, 0.852, 0.260], [0.399, 0.820, 0.912], [0.163, 0.674, 0.316], [0.024, 0.378, 0.915], [0.063, 0.634, 0.359], [0.487, 0.161, 0.306], [0.943, 0.365, 0.635], [0.936, 0.356, 0.922], [0.170, 0.680, 0.520], [0.922, 0.492, 0.424], [0.014, 0.841, 0.413], [0.903, 0.823, 0.197], [0.224, 0.296, 0.033], [0.991, 0.805, 0.096], [0.331, 0.342, 0.684], [0.566, 0.644, 0.074], [0.093, 0.211, 0.699], [0.500, 0.006, 0.997], [0.979, 0.625, 0.085], [0.912, 0.794, 0.301], [0.839, 0.340, 0.339], [0.655, 0.846, 0.970], [0.254, 0.869, 0.358], [0.501, 0.994, 0.640], [0.743, 0.129, 0.924], [0.434, 0.516, 0.420], [0.151, 0.849, 0.968], [0.687, 0.331, 0.083], [0.489, 0.802, 0.089], [0.067, 0.650, 0.075], [0.514, 0.827, 0.404], [0.851, 0.161, 0.748]]}

---

{"formula": "Li3Nb3TeO12", "functional": "GGA-PBE", "state": "relaxed", "energy_mp2020_ev_per_atom": -7.769, "space_group": "P1, No. 1", "ef_ev_per_atom": -2.5826, "final_energy_ev_per_atom": -7.335, "magnetic_moment_mub_per_cell": 0.00, "lattice_angstrom": [[-1.383, -4.531, 2.141], [-0.454, -2.264, -5.021], [7.248, -2.356, -0.233]], "species": ["Li", "O", "O", "O", "Li", "Li", "O", "O", "O", "Nb", "O", "O", "Nb", "O", "O", "Nb", "Te", "O", "O"], "fractional_positions": [[0.494, 0.990, 0.251], [0.184, 0.399, 0.507], [0.378, 0.607, 0.799], [0.322, 0.912, 0.492], [0.003, 0.499, 0.744], [0.503, 0.002, 0.753], [0.696, 0.279, 0.610], [0.696, 0.904, 0.984], [0.208, 0.802, 0.109], [0.491, 0.570, 0.034], [0.817, 0.391, 0.979], [0.302, 0.272, 0.110], [0.498, 0.560, 0.529], [0.601, 0.601, 0.291], [0.808, 0.783, 0.613], [0.998, 0.062, 0.528], [0.001, 0.081, 0.036], [0.873, 0.085, 0.283], [0.130, 0.104, 0.799]]}

---

{"formula": "Mg2CrMo3S8", "functional": "GGA-PBE", "state": "relaxed", "energy_mp2020_ev_per_atom": -6.555, "space_group": "R-3m, No. 166", "ef_ev_per_atom": -0.9488, "final_energy_ev_per_atom": -6.267, "magnetic_moment_mub_per_cell": 11.87, "lattice_angstrom": [[-7.117, -1.318, -1.628], [-2.347, -6.926, -1.037], [-4.415, -3.226, 5.012]], "species": ["S", "Mg", "Mg", "S", "S", "S", "S", "S", "Cr", "S", "Mo", "S", "Mo", "Mo"], "fractional_positions": [[0.739, 0.282, 0.739], [0.876, 0.873, 0.876], [0.124, 0.127, 0.124], [0.735, 0.746, 0.735], [0.285, 0.745, 0.735], [0.265, 0.255, 0.265], [0.261, 0.718, 0.261], [0.265, 0.255, 0.715], [0.500, 0.000, 0.500], [0.735, 0.745, 0.285], [0.500, 0.500, 0.000], [0.715, 0.254, 0.265], [0.500, 0.500, 0.500], [0.000, 0.500, 0.500]]}

---

{"formula": "Tb2Ga3Cu", "functional": "GGA-PBE", "state": "relaxed", "space_group": "P3m1, No. 156", "ef_ev_per_atom": -0.5988, "final_energy_ev_per_atom": -4.341, "lattice_angstrom": [[-2.191, -3.797, 0.000], [-2.192, 3.797, 0.000], [0.000, 0.000, -7.232]], "species": ["Ga", "Ga", "Tb", "Ga", "Tb", "Cu"], "fractional_positions": [[0.667, 0.333, 0.951], [0.333, 0.667, 0.046], [0.000, 0.000, 0.260], [0.333, 0.667, 0.476], [0.000, 0.000, 0.732], [0.667, 0.333, 0.536]]}

---

{"formula": "ReH12N3Cl4O3", "functional": "GGA-PBE", "state": "relaxed", "energy_mp2020_ev_per_atom": -5.219, "space_group": "Cmc2_1, No. 36", "ef_ev_per_atom": -0.8535, "final_energy_ev_per_atom": -5.129, "magnetic_moment_mub_per_cell": 0.00, "lattice_angstrom": [[-0.113, -7.497, 5.556], [-2.677, -0.753, -8.906], [7.417, -1.660, -2.089]], "species": ["N", "H", "H", "H", "N", "Cl", "H", "H", "H", "H", "Cl", "Cl", "H", "Cl", "N", "H", "H", "H", "H", "H", "Re", "Cl", "H", "Cl", "H", "N", "H", "H", "H", "Cl", "N", "H", "H", "Cl", "H", "H", "H", "H", "O", "O", "Re", "O", "O", "O", "N", "O"], "fractional_positions": [[0.834, 0.166, 0.466], [0.210, 0.420, 0.061], [0.653, 0.736, 0.892], [0.107, 0.893, 0.024], [0.332, 0.166, 0.466], [0.550, 0.099, 0.778], [0.083, 0.736, 0.892], [0.917, 0.264, 0.392], [0.347, 0.264, 0.392], [0.580, 0.790, 0.061], [0.099, 0.550, 0.278], [0.450, 0.550, 0.278], [0.083, 0.347, 0.892], [0.901, 0.450, 0.778], [0.834, 0.668, 0.466], [0.420, 0.210, 0.561], [0.736, 0.083, 0.392], [0.893, 0.785, 0.524], [0.790, 0.580, 0.561], [0.736, 0.654, 0.392], [0.333, 0.667, 0.500], [0.450, 0.901, 0.278], [0.917, 0.653, 0.392], [0.000, 0.000, 0.180], [0.785, 0.893, 0.024], [0.166, 0.834, 0.966], [0.264, 0.917, 0.892], [0.215, 0.107, 0.524], [0.107, 0.215, 0.024], [0.550, 0.450, 0.778], [0.668, 0.834, 0.966], [0.264, 0.346, 0.892], [0.346, 0.083, 0.392], [0.000, 0.000, 0.680], [0.654, 0.917, 0.892], [0.790, 0.210, 0.561], [0.210, 0.790, 0.061], [0.893, 0.107, 0.524], [0.529, 0.765, 0.592], [0.764, 0.236, 0.092], [0.667, 0.333, 0.000], [0.236, 0.471, 0.592], [0.471, 0.235, 0.092], [0.764, 0.529, 0.092], [0.166, 0.332, 0.966], [0.236, 0.764, 0.592]]}

---

{"formula": "HgP2PdO7", "functional": "GGA-PBE", "state": "relaxed", "energy_mp2020_ev_per_atom": -6.590, "space_group": "C2/c, No. 15", "ef_ev_per_atom": -1.9585, "final_energy_ev_per_atom": -6.153, "magnetic_moment_mub_per_cell": 0.00, "lattice_angstrom": [[2.487, 7.212, 0.000], [-2.487, 7.212, 0.000], [0.000, 1.693, 8.804]], "species": ["O", "O", "O", "O", "P", "P", "P", "Hg", "O", "O", "O", "O", "O", "Hg", "Pd", "Pd", "O", "O", "O", "O", "P", "O"], "fractional_positions": [[0.877, 0.331, 0.378], [0.403, 0.240, 0.795], [0.669, 0.123, 0.122], [0.714, 0.072, 0.412], [0.266, 0.533, 0.774], [0.533, 0.266, 0.274], [0.467, 0.734, 0.726], [0.000, 0.500, 0.500], [0.524, 0.476, 0.750], [0.597, 0.760, 0.205], [0.331, 0.877, 0.878], [0.240, 0.403, 0.295], [0.760, 0.597, 0.705], [0.500, 0.000, 0.000], [0.000, 0.000, 0.000], [0.000, 0.000, 0.500], [0.928, 0.286, 0.088], [0.476, 0.524, 0.250], [0.123, 0.669, 0.622], [0.286, 0.928, 0.588], [0.734, 0.467, 0.226], [0.072, 0.714, 0.912]]}

---

{"formula": "Nb2Cr", "functional": "GGA-PBE", "state": "relaxed", "space_group": "Fd-3m, No. 227", "ef_ev_per_atom": 0.6514, "final_energy_ev_per_atom": -9.301, "magnetic_moment_mub_per_cell": 5.92, "lattice_angstrom": [[-4.857, -2.174, -0.909], [-3.756, 0.068, 3.877], [-4.332, 3.183, -0.494]], "species": ["Nb", "Nb", "Cr", "Nb", "Nb", "Cr"], "fractional_positions": [[0.625, 0.625, 0.125], [0.125, 0.625, 0.625], [0.000, 0.000, 0.000], [0.625, 0.625, 0.625], [0.625, 0.125, 0.625], [0.250, 0.250, 0.250]]}

---

{"formula": "BaGa2GeSe6", "functional": "GGA-PBE", "state": "relaxed", "energy_mp2020_ev_per_atom": -4.469, "space_group": "P1, No. 1", "ef_ev_per_atom": -1.1117, "final_energy_ev_per_atom": -4.186, "magnetic_moment_mub_per_cell": 0.00, "lattice_angstrom": [[6.638, 0.000, 0.000], [-1.143, 6.581, 0.000], [-1.236, -1.427, 6.409]], "species": ["Se", "Se", "Se", "Se", "Se", "Ga", "Ge", "Se", "Ba", "Ga"], "fractional_positions": [[0.138, 0.588, 0.263], [0.887, 0.454, 0.740], [0.259, 0.130, 0.581], [0.734, 0.887, 0.454], [0.451, 0.740, 0.882], [0.547, 0.398, 0.821], [0.399, 0.820, 0.544], [0.584, 0.262, 0.135], [0.998, 0.998, 0.997], [0.817, 0.540, 0.401]]}

---

{"formula": "NaNdNb4O12", "functional": "GGA-PBE", "state": "relaxed", "energy_mp2020_ev_per_atom": -8.939, "space_group": "Cmmm, No. 65", "relative_energy_mev_per_atom": 36, "ef_ev_per_atom": -3.0570, "final_energy_ev_per_atom": -8.481, "magnetic_moment_mub_per_cell": 0.00, "lattice_angstrom": [[-4.217, 3.727, 0.246], [-2.477, -2.519, -4.388], [-3.963, -4.813, 4.999]], "species": ["O", "O", "Nb", "O", "O", "Nb", "Nb", "Nd", "O", "Na", "O", "O", "O", "O", "Nb", "O", "O", "O"], "fractional_positions": [[0.500, 0.000, 0.000], [0.775, 0.775, 0.733], [0.000, 0.500, 0.753], [0.000, 0.500, 0.000], [0.740, 0.260, 0.740], [0.000, 0.500, 0.247], [0.500, 0.000, 0.753], [0.000, 0.000, 0.500], [0.500, 0.000, 0.500], [0.500, 0.500, 0.000], [0.225, 0.225, 0.267], [0.260, 0.740, 0.740], [0.740, 0.260, 0.260], [0.260, 0.740, 0.260], [0.500, 0.000, 0.247], [0.225, 0.225, 0.733], [0.775, 0.775, 0.267], [0.000, 0.500, 0.500]]}